(1)
# LiV2P4H2O16, relaxed, DFT GGA+U
# Symmetry = P1
# Energy relative to the lowest polymorph listed for this composition = 5 meV/atom
data_LiV2P4H2O16
_chemical_formula_sum 'Li2 V4 P8 H4 O32'
_cell_length_a 7.734
_cell_length_b 7.889
_cell_length_c 9.747
_cell_angle_alpha 90.05
_cell_angle_beta 112.97
_cell_angle_gamma 90.06
_symmetry_space_group_name_H-M 'P 1'
_symmetry_Int_Tables_number 1
loop_
_symmetry_equiv_pos_as_xyz
'x,y,z'
loop_
_atom_site_label
_atom_site_type_symbol
_atom_site_fract_x
_atom_site_fract_y
_atom_site_fract_z
Li1 Li 0.850 0.869 0.727
Li2 Li 0.353 0.632 0.222
V1 V 0.005 0.494 0.754
V2 V 0.485 0.004 0.746
V3 V 0.992 0.496 0.249
V4 V 0.500 0.007 0.252
P1 P 0.232 0.846 0.931
P2 P 0.732 0.649 0.929
P3 P 0.271 0.357 0.568
P4 P 0.225 0.855 0.427
P5 P 0.762 0.156 0.569
P6 P 0.737 0.658 0.433
P7 P 0.267 0.348 0.070
P8 P 0.765 0.148 0.068
H1 H 0.506 0.510 0.992
H2 H 0.510 0.501 0.495
H3 H 0.988 0.005 0.511
H4 H 0.994 0.011 0.012
O1 O 0.054 0.944 0.904
O2 O 0.136 0.328 0.903
O3 O 0.186 0.671 0.857
O4 O 0.354 0.944 0.857
O5 O 0.551 0.553 0.905
O6 O 0.638 0.163 0.900
O7 O 0.684 0.827 0.854
O8 O 0.850 0.557 0.856
O9 O 0.157 0.443 0.647
O10 O 0.324 0.173 0.639
O11 O 0.359 0.841 0.599
O12 O 0.450 0.448 0.588
O13 O 0.654 0.052 0.648
O14 O 0.816 0.331 0.640
O15 O 0.050 0.948 0.410
O16 O 0.137 0.337 0.401
O17 O 0.860 0.675 0.600
O18 O 0.939 0.048 0.597
O19 O 0.184 0.674 0.354
O20 O 0.348 0.944 0.354
O21 O 0.556 0.558 0.404
O22 O 0.636 0.174 0.403
O23 O 0.684 0.829 0.356
O24 O 0.855 0.557 0.359
O25 O 0.151 0.448 0.148
O26 O 0.315 0.171 0.139
O27 O 0.360 0.828 0.099
O28 O 0.439 0.456 0.096
O29 O 0.653 0.059 0.147
O30 O 0.821 0.329 0.140
O31 O 0.858 0.662 0.100
O32 O 0.948 0.053 0.096



(2)
# Li9Mn2Co5O16, relaxed, DFT GGA+U
# Symmetry = P1
# Energy relative to the lowest polymorph listed for this composition = 59 meV/atom
data_Li9Mn2Co5O16
_chemical_formula_sum 'Li9 Mn2 Co5 O16'
_cell_length_a 5.013
_cell_length_b 7.799
_cell_length_c 7.917
_cell_angle_alpha 99.32
_cell_angle_beta 100.10
_cell_angle_gamma 102.47
_symmetry_space_group_name_H-M 'P 1'
_symmetry_Int_Tables_number 1
loop_
_symmetry_equiv_pos_as_xyz
'x,y,z'
loop_
_atom_site_label
_atom_site_type_symbol
_atom_site_fract_x
_atom_site_fract_y
_atom_site_fract_z
Li1 Li 0.503 0.750 0.752
Li2 Li 0.991 0.374 0.117
Li3 Li 0.509 0.004 0.503
Li4 Li 0.010 0.882 0.629
Li5 Li 0.494 0.495 0.994
Li6 Li 0.006 0.127 0.382
Li7 Li 0.992 0.615 0.872
Li8 Li 0.496 0.251 0.250
Li9 Li 0.003 0.250 0.753
Mn1 Mn 0.998 0.000 0.998
Mn2 Mn 0.502 0.626 0.378
Co1 Co 0.492 0.876 0.118
Co2 Co 0.004 0.497 0.502
Co3 Co 0.501 0.132 0.869
Co4 Co 0.996 0.751 0.247
Co5 Co 0.509 0.371 0.636
O1 O 0.761 0.766 0.007
O2 O 0.242 0.392 0.376
O3 O 0.759 0.003 0.779
O4 O 0.239 0.884 0.882
O5 O 0.751 0.513 0.262
O6 O 0.282 0.139 0.633
O7 O 0.247 0.644 0.122
O8 O 0.727 0.265 0.508
O9 O 0.252 0.744 0.490
O10 O 0.735 0.368 0.872
O11 O 0.225 0.994 0.226
O12 O 0.748 0.863 0.370
O13 O 0.273 0.488 0.731
O14 O 0.748 0.107 0.120
O15 O 0.759 0.603 0.625
O16 O 0.247 0.226 0.999



(3)
# Ba3CaTiWO9, relaxed, DFT GGA+U
# Symmetry = P6_3mc
data_Ba3CaTiWO9
_chemical_formula_sum 'Ba6 Ca2 Ti2 W2 O18'
_cell_length_a 5.999
_cell_length_b 5.999
_cell_length_c 14.999
_cell_angle_alpha 90.00
_cell_angle_beta 90.00
_cell_angle_gamma 120.00
_symmetry_space_group_name_H-M 'P 1'
_symmetry_Int_Tables_number 1
loop_
_symmetry_equiv_pos_as_xyz
'x,y,z'
loop_
_atom_site_label
_atom_site_type_symbol
_atom_site_fract_x
_atom_site_fract_y
_atom_site_fract_z
Ba1 Ba 0.000 0.000 0.746
Ba2 Ba 0.000 0.000 0.246
Ba3 Ba 0.667 0.333 0.399
Ba4 Ba 0.333 0.667 0.605
Ba5 Ba 0.333 0.667 0.899
Ba6 Ba 0.667 0.333 0.105
Ca1 Ca 0.000 0.000 0.502
Ca2 Ca 0.000 0.000 0.002
Ti1 Ti 0.667 0.333 0.646
Ti2 Ti 0.333 0.667 0.146
W1 W 0.333 0.667 0.339
W2 W 0.667 0.333 0.839
O1 O 0.518 0.035 0.754
O2 O 0.518 0.482 0.754
O3 O 0.965 0.482 0.754
O4 O 0.482 0.965 0.254
O5 O 0.482 0.518 0.254
O6 O 0.035 0.518 0.254
O7 O 0.823 0.645 0.907
O8 O 0.823 0.177 0.907
O9 O 0.355 0.177 0.907
O10 O 0.175 0.350 0.093
O11 O 0.175 0.825 0.093
O12 O 0.650 0.825 0.093
O13 O 0.177 0.355 0.407
O14 O 0.177 0.823 0.407
O15 O 0.645 0.823 0.407
O16 O 0.825 0.650 0.593
O17 O 0.825 0.175 0.593
O18 O 0.350 0.175 0.593



(4)
# Ba4CrGa2S6F4, relaxed, DFT GGA+U
# Symmetry = Pnma
data_Ba4CrGa2S6F4
_chemical_formula_sum 'Ba16 Cr4 Ga8 S24 F16'
_cell_length_a 6.243
_cell_length_b 13.266
_cell_length_c 18.718
_cell_angle_alpha 90.00
_cell_angle_beta 90.00
_cell_angle_gamma 90.00
_symmetry_space_group_name_H-M 'P 1'
_symmetry_Int_Tables_number 1
loop_
_symmetry_equiv_pos_as_xyz
'x,y,z'
loop_
_atom_site_label
_atom_site_type_symbol
_atom_site_fract_x
_atom_site_fract_y
_atom_site_fract_z
Ba1 Ba 0.269 0.749 0.078
Ba2 Ba 0.231 0.249 0.422
Ba3 Ba 0.731 0.251 0.578
Ba4 Ba 0.769 0.751 0.922
Ba5 Ba 0.731 0.251 0.922
Ba6 Ba 0.769 0.751 0.578
Ba7 Ba 0.269 0.749 0.422
Ba8 Ba 0.231 0.249 0.078
Ba9 Ba 0.756 0.000 0.078
Ba10 Ba 0.744 0.500 0.422
Ba11 Ba 0.244 0.000 0.578
Ba12 Ba 0.256 0.500 0.922
Ba13 Ba 0.244 0.000 0.922
Ba14 Ba 0.256 0.500 0.578
Ba15 Ba 0.756 0.000 0.422
Ba16 Ba 0.744 0.500 0.078
Cr1 Cr 0.497 0.125 0.250
Cr2 Cr 0.003 0.625 0.250
Cr3 Cr 0.503 0.875 0.750
Cr4 Cr 0.997 0.375 0.750
Ga1 Ga 0.655 0.799 0.250
Ga2 Ga 0.845 0.299 0.250
Ga3 Ga 0.345 0.201 0.750
Ga4 Ga 0.155 0.701 0.750
Ga5 Ga 0.152 0.950 0.250
Ga6 Ga 0.348 0.450 0.250
Ga7 Ga 0.848 0.050 0.750
Ga8 Ga 0.652 0.550 0.750
S1 S 0.284 0.028 0.348
S2 S 0.216 0.528 0.152
S3 S 0.716 0.972 0.848
S4 S 0.784 0.472 0.652
S5 S 0.716 0.972 0.652
S6 S 0.784 0.472 0.848
S7 S 0.284 0.028 0.152
S8 S 0.216 0.528 0.348
S9 S 0.789 0.722 0.152
S10 S 0.711 0.222 0.348
S11 S 0.211 0.278 0.652
S12 S 0.289 0.778 0.848
S13 S 0.211 0.278 0.848
S14 S 0.289 0.778 0.652
S15 S 0.789 0.722 0.348
S16 S 0.711 0.222 0.152
S17 S 0.284 0.787 0.250
S18 S 0.216 0.287 0.250
S19 S 0.716 0.213 0.750
S20 S 0.784 0.713 0.750
S21 S 0.781 0.963 0.250
S22 S 0.719 0.463 0.250
S23 S 0.219 0.037 0.750
S24 S 0.281 0.537 0.750
F1 F 0.013 0.875 0.004
F2 F 0.487 0.375 0.496
F3 F 0.987 0.125 0.504
F4 F 0.513 0.625 0.996
F5 F 0.987 0.125 0.996
F6 F 0.513 0.625 0.504
F7 F 0.013 0.875 0.496
F8 F 0.487 0.375 0.004
F9 F 0.011 0.625 0.998
F10 F 0.489 0.125 0.502
F11 F 0.989 0.375 0.498
F12 F 0.511 0.875 0.002
F13 F 0.989 0.375 0.002
F14 F 0.511 0.875 0.498
F15 F 0.011 0.625 0.502
F16 F 0.489 0.125 0.998



(5)
# Hf3NiF6, relaxed, DFT GGA+U
# Symmetry = P-1
# Energy relative to the lowest polymorph listed for this composition = 0 meV/atom
data_Hf3NiF6
_chemical_formula_sum 'Hf3 Ni1 F6'
_cell_length_a 6.822
_cell_length_b 4.951
_cell_length_c 12.058
_cell_angle_alpha 90.70
_cell_angle_beta 86.47
_cell_angle_gamma 133.26
_symmetry_space_group_name_H-M 'P 1'
_symmetry_Int_Tables_number 1
loop_
_symmetry_equiv_pos_as_xyz
'x,y,z'
loop_
_atom_site_label
_atom_site_type_symbol
_atom_site_fract_x
_atom_site_fract_y
_atom_site_fract_z
Hf1 Hf 0.000 0.000 0.500
Hf2 Hf 0.500 0.500 0.000
Hf3 Hf 0.000 0.500 0.000
Ni1 Ni 0.000 0.000 0.000
F1 F 0.059 0.560 0.840
F2 F 0.941 0.440 0.160
F3 F 0.924 0.915 0.657
F4 F 0.076 0.085 0.343
F5 F 0.518 0.581 0.842
F6 F 0.482 0.419 0.158



(6)
# MgV4O7F5, relaxed, DFT GGA+U
# Symmetry = P1
# Energy relative to the lowest polymorph listed for this composition = 14 meV/atom
data_MgV4O7F5
_chemical_formula_sum 'Mg1 V4 O7 F5'
_cell_length_a 5.280
_cell_length_b 5.383
_cell_length_c 8.712
_cell_angle_alpha 76.08
_cell_angle_beta 89.68
_cell_angle_gamma 60.17
_symmetry_space_group_name_H-M 'P 1'
_symmetry_Int_Tables_number 1
loop_
_symmetry_equiv_pos_as_xyz
'x,y,z'
loop_
_atom_site_label
_atom_site_type_symbol
_atom_site_fract_x
_atom_site_fract_y
_atom_site_fract_z
Mg1 Mg 0.576 0.884 0.854
V1 V 0.718 0.515 0.255
V2 V 0.434 0.029 0.501
V3 V 0.243 0.544 0.737
V4 V 0.038 0.979 0.023
O1 O 0.961 0.227 0.132
O2 O 0.552 0.747 0.376
O3 O 0.452 0.739 0.060
O4 O 0.450 0.748 0.681
O5 O 0.461 0.232 0.632
O6 O 0.018 0.734 0.870
O7 O 0.080 0.225 0.429
F1 F 0.937 0.763 0.563
F2 F 0.953 0.710 0.178
F3 F 0.553 0.255 0.328
F4 F 0.587 0.222 0.920
F5 F 0.114 0.210 0.830



(7)
# Li3V3P8O29, relaxed, DFT GGA+U
# Symmetry = P1
# Energy relative to the lowest polymorph listed for this composition = 6 meV/atom
data_Li3V3P8O29
_chemical_formula_sum 'Li6 V6 P16 O58'
_cell_length_a 9.721
_cell_length_b 9.738
_cell_length_c 14.363
_cell_angle_alpha 89.70
_cell_angle_beta 89.43
_cell_angle_gamma 60.29
_symmetry_space_group_name_H-M 'P 1'
_symmetry_Int_Tables_number 1
loop_
_symmetry_equiv_pos_as_xyz
'x,y,z'
loop_
_atom_site_label
_atom_site_type_symbol
_atom_site_fract_x
_atom_site_fract_y
_atom_site_fract_z
Li1 Li 0.231 0.676 0.054
Li2 Li 0.679 0.092 0.056
Li3 Li 0.672 0.229 0.562
Li4 Li 0.914 0.320 0.444
Li5 Li 0.020 0.036 0.994
Li6 Li 0.050 0.925 0.503
V1 V 0.434 0.568 0.252
V2 V 0.563 0.439 0.753
V3 V 0.434 0.002 0.749
V4 V 0.560 0.997 0.253
V5 V 0.003 0.437 0.245
V6 V 0.999 0.565 0.748
P1 P 0.083 0.220 0.835
P2 P 0.215 0.085 0.342
P3 P 0.082 0.694 0.343
P4 P 0.339 0.334 0.133
P5 P 0.336 0.333 0.632
P6 P 0.221 0.689 0.842
P7 P 0.309 0.779 0.663
P8 P 0.688 0.087 0.844
P9 P 0.303 0.917 0.157
P10 P 0.681 0.228 0.342
P11 P 0.778 0.309 0.163
P12 P 0.670 0.662 0.366
P13 P 0.666 0.670 0.866
P14 P 0.911 0.313 0.655
P15 P 0.783 0.915 0.664
P16 P 0.914 0.781 0.161
O1 O 0.980 0.235 0.564
O2 O 0.082 0.261 0.334
O3 O 0.209 0.993 0.073
O4 O 0.259 0.085 0.829
O5 O 0.077 0.381 0.826
O6 O 0.189 0.335 0.180
O7 O 0.078 0.538 0.328
O8 O 0.007 0.785 0.080
O9 O 0.083 0.654 0.830
O10 O 0.337 0.185 0.679
O11 O 0.379 0.080 0.327
O12 O 0.187 0.477 0.678
O13 O 0.338 0.336 0.030
O14 O 0.340 0.328 0.529
O15 O 0.331 0.488 0.173
O16 O 0.533 0.085 0.830
O17 O 0.486 0.186 0.175
O18 O 0.257 0.655 0.327
O19 O 0.206 0.803 0.758
O20 O 0.214 0.791 0.581
O21 O 0.211 0.767 0.933
O22 O 0.379 0.531 0.826
O23 O 0.487 0.331 0.672
O24 O 0.344 0.741 0.165
O25 O 0.522 0.382 0.324
O26 O 0.654 0.085 0.332
O27 O 0.198 0.001 0.249
O28 O 0.198 0.007 0.426
O29 O 0.802 0.005 0.584
O30 O 0.350 0.913 0.668
O31 O 0.464 0.618 0.675
O32 O 0.653 0.261 0.828
O33 O 0.522 0.663 0.320
O34 O 0.618 0.464 0.173
O35 O 0.794 0.205 0.083
O36 O 0.757 0.231 0.432
O37 O 0.799 0.211 0.259
O38 O 0.737 0.344 0.663
O39 O 0.522 0.816 0.820
O40 O 0.460 0.923 0.173
O41 O 0.662 0.523 0.820
O42 O 0.666 0.666 0.969
O43 O 0.667 0.661 0.469
O44 O 0.817 0.512 0.325
O45 O 0.620 0.923 0.671
O46 O 0.667 0.811 0.319
O47 O 0.915 0.347 0.167
O48 O 0.004 0.198 0.741
O49 O 0.002 0.200 0.917
O50 O 0.913 0.469 0.672
O51 O 0.815 0.666 0.820
O52 O 0.915 0.620 0.174
O53 O 0.739 0.918 0.162
O54 O 0.767 0.026 0.935
O55 O 0.806 0.987 0.761
O56 O 0.917 0.740 0.666
O57 O 0.014 0.783 0.429
O58 O 0.988 0.804 0.255



(8)
# Li2FeF4, relaxed, DFT GGA+U
# Symmetry = I4_1/amd
# Energy relative to the lowest polymorph listed for this composition = 7 meV/atom
data_Li2FeF4
_chemical_formula_sum 'Li16 Fe8 F32'
_cell_length_a 9.652
_cell_length_b 9.652
_cell_length_c 9.652
_cell_angle_alpha 100.84
_cell_angle_beta 100.84
_cell_angle_gamma 128.59
_symmetry_space_group_name_H-M 'P 1'
_symmetry_Int_Tables_number 1
loop_
_symmetry_equiv_pos_as_xyz
'x,y,z'
loop_
_atom_site_label
_atom_site_type_symbol
_atom_site_fract_x
_atom_site_fract_y
_atom_site_fract_z
Li1 Li 0.765 0.375 0.890
Li2 Li 0.381 0.881 0.763
Li3 Li 0.131 0.869 0.000
Li4 Li 0.125 0.515 0.890
Li5 Li 0.625 0.235 0.110
Li6 Li 0.119 0.619 0.237
Li7 Li 0.869 0.131 0.000
Li8 Li 0.485 0.875 0.110
Li9 Li 0.765 0.875 0.390
Li10 Li 0.131 0.131 0.263
Li11 Li 0.381 0.619 0.500
Li12 Li 0.125 0.235 0.610
Li13 Li 0.625 0.515 0.390
Li14 Li 0.869 0.869 0.737
Li15 Li 0.119 0.881 0.500
Li16 Li 0.485 0.375 0.610
Fe1 Fe 0.469 0.102 0.368
Fe2 Fe 0.516 0.648 0.868
Fe3 Fe 0.352 0.484 0.132
Fe4 Fe 0.898 0.531 0.632
Fe5 Fe 0.352 0.219 0.868
Fe6 Fe 0.898 0.266 0.368
Fe7 Fe 0.734 0.102 0.632
Fe8 Fe 0.781 0.648 0.132
F1 F 0.512 0.143 0.885
F2 F 0.992 0.607 0.869
F3 F 0.857 0.488 0.115
F4 F 0.877 0.262 0.869
F5 F 0.393 0.008 0.131
F6 F 0.373 0.742 0.885
F7 F 0.754 0.881 0.872
F8 F 0.241 0.869 0.372
F9 F 0.738 0.123 0.131
F10 F 0.258 0.627 0.115
F11 F 0.272 0.394 0.878
F12 F 0.733 0.356 0.378
F13 F 0.644 0.267 0.622
F14 F 0.119 0.991 0.872
F15 F 0.606 0.483 0.878
F16 F 0.606 0.728 0.122
F17 F 0.119 0.246 0.128
F18 F 0.644 0.022 0.378
F19 F 0.131 0.504 0.372
F20 F 0.131 0.759 0.628
F21 F 0.517 0.394 0.122
F22 F 0.978 0.356 0.622
F23 F 0.512 0.627 0.369
F24 F 0.992 0.123 0.385
F25 F 0.009 0.881 0.128
F26 F 0.496 0.869 0.628
F27 F 0.857 0.742 0.369
F28 F 0.877 0.008 0.615
F29 F 0.393 0.262 0.385
F30 F 0.373 0.488 0.631
F31 F 0.258 0.143 0.631
F32 F 0.738 0.607 0.615



(9)
# WF5, relaxed, DFT GGA+U
# Symmetry = C2/c
# Energy relative to the lowest polymorph listed for this composition = 4 meV/atom
data_WF5
_chemical_formula_sum 'W2 F10'
_cell_length_a 5.611
_cell_length_b 5.611
_cell_length_c 8.011
_cell_angle_alpha 68.68
_cell_angle_beta 68.68
_cell_angle_gamma 69.23
_symmetry_space_group_name_H-M 'P 1'
_symmetry_Int_Tables_number 1
loop_
_symmetry_equiv_pos_as_xyz
'x,y,z'
loop_
_atom_site_label
_atom_site_type_symbol
_atom_site_fract_x
_atom_site_fract_y
_atom_site_fract_z
W1 W 0.000 0.000 0.000
W2 W 0.000 0.000 0.500
F1 F 0.073 0.927 0.750
F2 F 0.927 0.073 0.250
F3 F 0.757 0.784 0.617
F4 F 0.216 0.243 0.883
F5 F 0.696 0.275 0.954
F6 F 0.725 0.304 0.546
F7 F 0.304 0.725 0.046
F8 F 0.275 0.696 0.454
F9 F 0.784 0.757 0.117
F10 F 0.243 0.216 0.383



(10)
# NaMnO2, relaxed, DFT GGA+U
# Symmetry = Pmmn
# Energy relative to the lowest polymorph listed for this composition = 13 meV/atom
data_NaMnO2
_chemical_formula_sum 'Na2 Mn2 O4'
_cell_length_a 2.921
_cell_length_b 4.876
_cell_length_c 6.422
_cell_angle_alpha 90.00
_cell_angle_beta 90.00
_cell_angle_gamma 90.00
_symmetry_space_group_name_H-M 'P 1'
_symmetry_Int_Tables_number 1
loop_
_symmetry_equiv_pos_as_xyz
'x,y,z'
loop_
_atom_site_label
_atom_site_type_symbol
_atom_site_fract_x
_atom_site_fract_y
_atom_site_fract_z
Na1 Na 0.250 0.250 0.123
Na2 Na 0.750 0.750 0.877
Mn1 Mn 0.250 0.250 0.625
Mn2 Mn 0.750 0.750 0.375
O1 O 0.750 0.250 0.418
O2 O 0.250 0.750 0.582
O3 O 0.750 0.250 0.828
O4 O 0.250 0.750 0.172



Formation energy across the listed records, respectively: -59.94 -57.76 -47.54 -40.87 -19.81 -46.05 -108.65 -20.25 -16.28 -8.07 eV/f.u..
Ρ across the listed records, respectively: 3.0 4.1 5.9 4.3 4.0 3.5 2.5 3.1 4.4 4.0 g cm⁻³.